{"formula": "Li2Fe3SbO8", "functional": "PBE with a Hubbard U", "state": "optimized geometry", "lattice": [[0.9934, 0.9778, 5.8873], [-8.5405, -5.8953, 2.4318], [0.9753, -5.4755, -2.3511]], "species": ["O", "O", "O", "O", "O", "O", "O", "O", "O", "O", "O", "O", "O", "O", "O", "O", "Fe", "Fe", "Fe", "Fe", "Fe", "Fe", "Sb", "Sb", "Li", "Li", "Li", "Li"], "fractional_positions": [[0.5941, 0.1244, 0.7348], [0.1406, 0.1248, 0.2811], [0.8593, 0.8753, 0.7188], [0.1346, 0.5998, 0.2674], [0.6406, 0.6247, 0.7347], [0.8594, 0.8753, 0.2653], [0.9059, 0.3756, 0.2651], [0.3594, 0.3752, 0.7189], [0.1406, 0.1248, 0.7347], [0.6406, 0.6247, 0.2812], [0.3654, 0.9002, 0.7326], [0.6346, 0.0998, 0.2674], [0.4058, 0.8756, 0.2651], [0.0942, 0.6244, 0.7349], [0.3594, 0.3752, 0.2653], [0.8654, 0.4002, 0.7326], [0.4998, 0.0000, 0.4997], [0.4997, 0.4999, 0.4999], [0.5003, 0.9999, 0.0003], [0.0002, 0.4999, 0.5002], [0.0000, 0.5002, 0.0000], [0.0001, 0.0002, 0.5000], [0.2500, 0.2500, 0.5000], [0.7500, 0.7500, 0.5000], [0.4340, 0.6982, 0.8679], [0.5661, 0.3018, 0.1321], [0.9339, 0.1983, 0.8678], [0.0660, 0.8018, 0.1321]], "formation_enthalpy_0k_ev_per_atom": -1.922, "vol_a3_per_cell": 318.8, "e_above_lowest_polymorph_mev_per_atom": 8, "energy_ev_per_atom": -6.2557}

=====

{"formula": "Li4Ti3Fe3Sb2O16", "functional": "PBE with a Hubbard U", "state": "optimized geometry", "lattice": [[5.9721, 0.0000, 0.0000], [2.9812, 5.2137, 0.0000], [0.0071, 0.1078, 9.9024]], "species": ["Li", "Li", "Li", "Li", "Ti", "Ti", "Ti", "Fe", "Fe", "Fe", "Sb", "Sb", "O", "O", "O", "O", "O", "O", "O", "O", "O", "O", "O", "O", "O", "O", "O", "O"], "fractional_positions": [[0.0000, 0.0000, 0.0000], [0.0060, 0.9877, 0.5055], [0.3380, 0.3274, 0.4180], [0.6674, 0.6666, 0.9132], [0.1761, 0.6487, 0.7329], [0.3437, 0.8179, 0.2309], [0.8398, 0.8120, 0.2272], [0.1843, 0.1559, 0.7236], [0.6606, 0.1565, 0.7233], [0.8378, 0.3378, 0.2246], [0.3455, 0.3135, 0.9996], [0.6759, 0.6488, 0.5048], [0.0117, 0.9782, 0.8143], [0.0118, 0.9791, 0.3178], [0.0403, 0.4837, 0.8606], [0.1688, 0.1532, 0.1103], [0.1693, 0.6609, 0.1151], [0.3244, 0.3521, 0.6192], [0.3389, 0.8192, 0.6104], [0.4783, 0.4837, 0.8602], [0.4845, 0.0323, 0.8619], [0.5143, 0.5202, 0.3544], [0.5246, 0.9517, 0.3506], [0.6524, 0.6894, 0.1184], [0.6800, 0.1512, 0.1110], [0.8425, 0.8195, 0.6111], [0.8447, 0.3106, 0.6035], [0.9676, 0.5221, 0.3570]], "formation_enthalpy_0k_ev_per_atom": -2.419, "vol_a3_per_cell": 308.3, "e_above_lowest_polymorph_mev_per_atom": 13, "energy_ev_per_atom": -6.9328}